Arrangement i

Li2CrP4O12 | PBE with a Hubbard U | optimized geometry

a b c (Å): 8.142 12.903 11.814
angles (deg): 90.00 121.07 90.00
Positions (direct):
Li (0.090, 0.077, 0.428)
Li (0.090, 0.423, 0.928)
Li (0.403, 0.700, 0.839)
Li (0.403, 0.800, 0.339)
Li (0.597, 0.200, 0.661)
Li (0.597, 0.300, 0.161)
Li (0.910, 0.577, 0.072)
Li (0.910, 0.923, 0.572)
Cr (0.246, 0.649, 0.483)
Cr (0.246, 0.851, 0.983)
Cr (0.754, 0.149, 0.017)
Cr (0.754, 0.351, 0.517)
P (0.050, 0.079, 0.886)
P (0.050, 0.421, 0.386)
P (0.106, 0.179, 0.685)
P (0.106, 0.321, 0.185)
P (0.406, 0.171, 0.352)
P (0.406, 0.329, 0.852)
P (0.419, 0.070, 0.137)
P (0.419, 0.430, 0.637)
P (0.581, 0.570, 0.363)
P (0.581, 0.930, 0.863)
P (0.594, 0.671, 0.148)
P (0.594, 0.829, 0.648)
P (0.894, 0.679, 0.815)
P (0.894, 0.821, 0.315)
P (0.950, 0.579, 0.614)
P (0.950, 0.921, 0.114)
O (0.049, 0.537, 0.366)
O (0.049, 0.963, 0.866)
O (0.057, 0.750, 0.347)
O (0.057, 0.750, 0.847)
O (0.087, 0.098, 0.588)
O (0.087, 0.402, 0.088)
O (0.136, 0.634, 0.659)
O (0.136, 0.866, 0.159)
O (0.168, 0.127, 0.824)
O (0.168, 0.373, 0.324)
O (0.200, 0.107, 0.038)
O (0.200, 0.393, 0.538)
O (0.299, 0.140, 0.419)
O (0.299, 0.246, 0.732)
O (0.299, 0.254, 0.232)
O (0.299, 0.360, 0.919)
O (0.396, 0.714, 0.059)
O (0.396, 0.786, 0.559)
O (0.421, 0.071, 0.275)
O (0.421, 0.429, 0.775)
O (0.444, 0.541, 0.612)
O (0.444, 0.651, 0.358)
O (0.444, 0.849, 0.858)
O (0.444, 0.959, 0.112)
O (0.556, 0.041, 0.888)
O (0.556, 0.151, 0.142)
O (0.556, 0.349, 0.642)
O (0.556, 0.459, 0.388)
O (0.579, 0.571, 0.225)
O (0.579, 0.929, 0.725)
O (0.604, 0.214, 0.441)
O (0.604, 0.286, 0.941)
O (0.701, 0.640, 0.081)
O (0.701, 0.746, 0.768)
O (0.701, 0.754, 0.268)
O (0.701, 0.860, 0.581)
O (0.800, 0.607, 0.462)
O (0.800, 0.893, 0.962)
O (0.832, 0.627, 0.676)
O (0.832, 0.873, 0.176)
O (0.864, 0.134, 0.841)
O (0.864, 0.366, 0.341)
O (0.913, 0.598, 0.912)
O (0.913, 0.902, 0.412)
O (0.943, 0.250, 0.153)
O (0.943, 0.250, 0.653)
O (0.951, 0.037, 0.134)
O (0.951, 0.463, 0.634)

Summary:
- symmetry = P2_1/c, No. 14
- spin magnetization (μB/cell) = 16.0

***

Arrangement ii

Li2CrP4O12 | PBE with a Hubbard U | optimized geometry

a b c (Å): 7.935 11.152 12.576
angles (deg): 90.00 98.40 90.00
Positions (direct):
Li (0.043, 0.124, 0.283)
Li (0.043, 0.376, 0.783)
Li (0.086, 0.039, 0.929)
Li (0.086, 0.461, 0.429)
Li (0.914, 0.539, 0.571)
Li (0.914, 0.961, 0.071)
Li (0.957, 0.624, 0.217)
Li (0.957, 0.876, 0.717)
Cr (0.478, 0.739, 0.182)
Cr (0.478, 0.761, 0.682)
Cr (0.522, 0.239, 0.318)
Cr (0.522, 0.261, 0.818)
P (0.074, 0.735, 0.989)
P (0.074, 0.765, 0.489)
P (0.132, 0.122, 0.709)
P (0.132, 0.378, 0.209)
P (0.435, 0.740, 0.432)
P (0.435, 0.760, 0.932)
P (0.479, 0.043, 0.675)
P (0.479, 0.457, 0.175)
P (0.521, 0.543, 0.825)
P (0.521, 0.957, 0.325)
P (0.565, 0.240, 0.068)
P (0.565, 0.260, 0.568)
P (0.868, 0.622, 0.791)
P (0.868, 0.878, 0.291)
P (0.926, 0.235, 0.511)
P (0.926, 0.265, 0.011)
O (0.023, 0.046, 0.772)
O (0.023, 0.454, 0.272)
O (0.023, 0.635, 0.463)
O (0.023, 0.865, 0.963)
O (0.043, 0.139, 0.586)
O (0.043, 0.361, 0.086)
O (0.078, 0.694, 0.102)
O (0.078, 0.806, 0.602)
O (0.198, 0.241, 0.754)
O (0.198, 0.259, 0.254)
O (0.250, 0.707, 0.944)
O (0.250, 0.793, 0.444)
O (0.283, 0.032, 0.691)
O (0.283, 0.468, 0.191)
O (0.414, 0.595, 0.727)
O (0.414, 0.905, 0.227)
O (0.426, 0.671, 0.329)
O (0.426, 0.829, 0.829)
O (0.461, 0.138, 0.577)
O (0.461, 0.362, 0.077)
O (0.465, 0.074, 0.365)
O (0.465, 0.426, 0.865)
O (0.489, 0.181, 0.964)
O (0.489, 0.319, 0.464)
O (0.511, 0.681, 0.536)
O (0.511, 0.819, 0.036)
O (0.535, 0.574, 0.135)
O (0.535, 0.926, 0.635)
O (0.539, 0.638, 0.923)
O (0.539, 0.862, 0.423)
O (0.574, 0.171, 0.171)
O (0.574, 0.329, 0.671)
O (0.586, 0.095, 0.773)
O (0.586, 0.405, 0.273)
O (0.717, 0.532, 0.809)
O (0.717, 0.968, 0.309)
O (0.750, 0.207, 0.556)
O (0.750, 0.293, 0.056)
O (0.802, 0.741, 0.746)
O (0.802, 0.759, 0.246)
O (0.922, 0.194, 0.398)
O (0.922, 0.306, 0.898)
O (0.957, 0.639, 0.914)
O (0.957, 0.861, 0.414)
O (0.977, 0.135, 0.037)
O (0.977, 0.365, 0.537)
O (0.977, 0.546, 0.728)
O (0.977, 0.954, 0.228)

Summary:
- symmetry = P2_1/c, No. 14
- spin magnetization (μB/cell) = 16.0

***

The least stable of them is arrangement i.

***

Arrangement i

Na3Mn2P2C2O14 | PBE with a Hubbard U | optimized geometry

a b c (Å): 8.994 6.580 10.403
angles (deg): 90.00 91.55 90.00
Positions (direct):
Na (0.239, 0.000, 0.129)
Na (0.242, 0.519, 0.127)
Na (0.242, 0.981, 0.629)
Na (0.758, 0.019, 0.873)
Na (0.758, 0.481, 0.371)
Na (0.761, 0.500, 0.871)
Mn (0.346, 0.267, 0.854)
Mn (0.348, 0.261, 0.361)
Mn (0.652, 0.761, 0.639)
Mn (0.654, 0.767, 0.146)
P (0.425, 0.761, 0.896)
P (0.428, 0.758, 0.390)
P (0.572, 0.258, 0.610)
P (0.575, 0.261, 0.104)
C (0.077, 0.256, 0.884)
C (0.078, 0.253, 0.385)
C (0.922, 0.753, 0.615)
C (0.923, 0.756, 0.116)
O (0.058, 0.752, 0.604)
O (0.060, 0.757, 0.101)
O (0.141, 0.253, 0.773)
O (0.147, 0.260, 0.273)
O (0.176, 0.260, 0.981)
O (0.177, 0.248, 0.481)
O (0.328, 0.574, 0.869)
O (0.329, 0.949, 0.861)
O (0.330, 0.572, 0.354)
O (0.332, 0.946, 0.353)
O (0.423, 0.252, 0.681)
O (0.427, 0.258, 0.178)
O (0.464, 0.767, 0.045)
O (0.467, 0.765, 0.537)
O (0.533, 0.265, 0.463)
O (0.536, 0.267, 0.955)
O (0.573, 0.758, 0.822)
O (0.577, 0.752, 0.319)
O (0.668, 0.446, 0.647)
O (0.670, 0.072, 0.646)
O (0.671, 0.449, 0.139)
O (0.672, 0.074, 0.131)
O (0.823, 0.748, 0.519)
O (0.824, 0.760, 0.019)
O (0.853, 0.760, 0.727)
O (0.859, 0.753, 0.227)
O (0.940, 0.257, 0.899)
O (0.942, 0.252, 0.396)

Summary:
- symmetry = P2_1, No. 4
- spin magnetization (μB/cell) = 14.0

***

Arrangement ii

Na3Mn2P2C2O14 | PBE with a Hubbard U | optimized geometry

a b c (Å): 8.320 8.455 10.287
angles (deg): 108.41 106.45 103.25
Positions (direct):
Na (0.004, 0.492, 0.237)
Na (0.235, 0.232, 0.233)
Na (0.271, 0.232, 0.751)
Na (0.729, 0.768, 0.249)
Na (0.765, 0.768, 0.767)
Na (0.996, 0.508, 0.763)
Mn (0.202, 0.939, 0.348)
Mn (0.308, 0.562, 0.651)
Mn (0.692, 0.438, 0.349)
Mn (0.798, 0.061, 0.652)
P (0.055, 0.800, 0.572)
P (0.448, 0.686, 0.425)
P (0.552, 0.314, 0.575)
P (0.945, 0.200, 0.428)
C (0.027, 0.781, 0.079)
C (0.467, 0.722, 0.920)
C (0.533, 0.278, 0.080)
C (0.973, 0.219, 0.921)
O (0.019, 0.267, 0.822)
O (0.023, 0.096, 0.328)
O (0.058, 0.298, 0.058)
O (0.094, 0.344, 0.579)
O (0.156, 0.707, 0.659)
O (0.175, 0.921, 0.144)
O (0.181, 0.929, 0.533)
O (0.318, 0.580, 0.852)
O (0.320, 0.551, 0.462)
O (0.332, 0.752, 0.326)
O (0.406, 0.168, 0.430)
O (0.448, 0.203, 0.945)
O (0.468, 0.424, 0.673)
O (0.488, 0.231, 0.180)
O (0.512, 0.769, 0.820)
O (0.532, 0.576, 0.327)
O (0.552, 0.797, 0.055)
O (0.594, 0.832, 0.570)
O (0.668, 0.248, 0.674)
O (0.680, 0.449, 0.538)
O (0.682, 0.420, 0.148)
O (0.819, 0.071, 0.467)
O (0.825, 0.079, 0.856)
O (0.844, 0.293, 0.341)
O (0.906, 0.656, 0.421)
O (0.942, 0.702, 0.942)
O (0.977, 0.904, 0.672)
O (0.981, 0.733, 0.178)

Summary:
- symmetry = P-1, No. 2
- spin magnetization (μB/cell) = 14.0

***

The least stable of them is arrangement i.

***

Arrangement i

Na3Mn2P2C2O14 | PBE with a Hubbard U | optimized geometry

a b c (Å): 10.283 6.586 10.390
angles (deg): 90.00 118.81 90.00
Positions (direct):
Na (0.238, 0.000, 0.489)
Na (0.240, 0.481, 0.495)
Na (0.242, 0.021, 0.992)
Na (0.758, 0.521, 0.008)
Na (0.760, 0.981, 0.505)
Na (0.762, 0.500, 0.511)
Mn (0.349, 0.735, 0.312)
Mn (0.349, 0.736, 0.821)
Mn (0.651, 0.235, 0.688)
Mn (0.651, 0.236, 0.179)
P (0.423, 0.242, 0.818)
P (0.429, 0.238, 0.321)
P (0.571, 0.738, 0.679)
P (0.577, 0.742, 0.182)
C (0.078, 0.745, 0.152)
C (0.078, 0.745, 0.656)
C (0.922, 0.245, 0.344)
C (0.922, 0.245, 0.848)
O (0.058, 0.247, 0.926)
O (0.059, 0.243, 0.425)
O (0.144, 0.748, 0.799)
O (0.147, 0.737, 0.299)
O (0.175, 0.743, 0.606)
O (0.176, 0.751, 0.105)
O (0.323, 0.428, 0.792)
O (0.330, 0.053, 0.809)
O (0.333, 0.051, 0.312)
O (0.334, 0.425, 0.314)
O (0.421, 0.738, 0.533)
O (0.429, 0.754, 0.037)
O (0.460, 0.233, 0.686)
O (0.465, 0.233, 0.192)
O (0.535, 0.733, 0.808)
O (0.540, 0.733, 0.314)
O (0.571, 0.254, 0.963)
O (0.579, 0.238, 0.467)
O (0.666, 0.925, 0.686)
O (0.667, 0.551, 0.688)
O (0.670, 0.553, 0.191)
O (0.677, 0.928, 0.208)
O (0.824, 0.251, 0.895)
O (0.825, 0.243, 0.394)
O (0.853, 0.237, 0.701)
O (0.856, 0.248, 0.201)
O (0.941, 0.743, 0.575)
O (0.942, 0.747, 0.074)

Summary:
- symmetry = P2_1, No. 4
- spin magnetization (μB/cell) = 14.0

***

Arrangement ii

Na3Mn2P2C2O14 | PBE with a Hubbard U | optimized geometry

a b c (Å): 8.341 8.429 10.303
angles (deg): 107.30 107.03 103.23
Positions (direct):
Na (0.000, 0.000, 0.000)
Na (0.011, 0.021, 0.538)
Na (0.226, 0.738, 0.995)
Na (0.481, 0.541, 0.518)
Na (0.718, 0.278, 0.011)
Na (0.763, 0.263, 0.528)
Mn (0.197, 0.448, 0.114)
Mn (0.307, 0.061, 0.416)
Mn (0.692, 0.947, 0.117)
Mn (0.809, 0.565, 0.415)
P (0.052, 0.300, 0.335)
P (0.445, 0.196, 0.192)
P (0.548, 0.817, 0.341)
P (0.946, 0.712, 0.193)
C (0.024, 0.290, 0.848)
C (0.468, 0.234, 0.681)
C (0.530, 0.789, 0.851)
C (0.964, 0.724, 0.682)
O (0.014, 0.775, 0.588)
O (0.025, 0.610, 0.094)
O (0.040, 0.801, 0.820)
O (0.090, 0.857, 0.342)
O (0.156, 0.212, 0.428)
O (0.170, 0.430, 0.910)
O (0.184, 0.426, 0.299)
O (0.318, 0.059, 0.228)
O (0.324, 0.090, 0.619)
O (0.328, 0.260, 0.090)
O (0.397, 0.678, 0.195)
O (0.449, 0.708, 0.717)
O (0.477, 0.938, 0.440)
O (0.484, 0.747, 0.952)
O (0.508, 0.278, 0.577)
O (0.539, 0.095, 0.103)
O (0.555, 0.316, 0.814)
O (0.584, 0.346, 0.339)
O (0.649, 0.734, 0.435)
O (0.675, 0.934, 0.916)
O (0.685, 0.944, 0.305)
O (0.820, 0.581, 0.231)
O (0.821, 0.578, 0.615)
O (0.840, 0.799, 0.101)
O (0.908, 0.158, 0.184)
O (0.942, 0.208, 0.711)
O (0.964, 0.396, 0.429)
O (0.975, 0.245, 0.946)

Summary:
- symmetry = P1, No. 1
- spin magnetization (μB/cell) = 14.0

***

The least stable of them is arrangement i.